A plane-wave DFT calculation with GGA+U was carried out for a geometry-optimized V6O13 structure.

POSCAR file:
```
V6O13
1.0
3.755 0.000 0.000
0.000 10.259 0.000
0.000 2.289 11.951
V O
12 26
Direct
0.467 0.004 0.851
0.967 0.996 0.649
0.533 0.996 0.149
0.033 0.004 0.351
0.498 0.636 0.913
0.998 0.364 0.587
0.502 0.364 0.087
0.002 0.636 0.413
0.502 0.634 0.215
0.002 0.366 0.285
0.498 0.366 0.785
0.998 0.634 0.715
0.489 0.000 0.683
0.989 0.000 0.817
0.511 0.000 0.317
0.011 0.000 0.183
0.502 0.614 0.381
0.002 0.386 0.119
0.498 0.386 0.619
0.998 0.614 0.881
0.499 0.588 0.754
0.999 0.412 0.746
0.501 0.412 0.246
0.001 0.588 0.254
0.500 0.000 0.000
0.000 0.000 0.500
0.493 0.802 0.886
0.993 0.198 0.614
0.507 0.198 0.114
0.007 0.802 0.386
0.508 0.802 0.178
0.008 0.198 0.322
0.492 0.198 0.822
0.992 0.802 0.678
0.500 0.591 0.060
0.000 0.409 0.440
0.500 0.409 0.940
0.000 0.591 0.560
```

Results
As for the symmetry: P2_1/c (14). As for the magnetic moment: 4.0 μB/f.u. The calculation puts the MP2020-corrected energy at -8.65 eV/atom. The density comes out at 3.71 g/cm3. For the calculated formation energy, the calculation gives -2.39 eV/atom.

A plane-wave DFT calculation with GGA+U was carried out for a geometry-optimized VO2 structure.

POSCAR file:
```
VO2
1.0
6.011 0.000 0.000
-2.984 5.228 0.000
-0.090 -0.119 14.188
V O
12 24
Direct
0.311 0.635 0.834
0.863 0.675 0.835
0.978 0.973 0.507
0.823 0.185 0.835
0.530 0.010 0.503
0.312 0.161 0.346
0.332 0.167 0.716
0.653 0.317 0.181
0.499 0.525 0.503
0.175 0.332 0.166
0.173 0.847 0.163
0.665 0.831 0.044
0.700 0.337 0.902
0.996 0.495 0.757
0.165 0.363 0.902
0.138 0.798 0.903
0.355 0.670 0.564
0.506 0.499 0.758
0.670 0.837 0.427
0.485 0.989 0.761
0.667 0.832 0.910
0.835 0.686 0.567
0.817 0.150 0.567
0.003 0.006 0.762
0.055 0.028 0.249
0.196 0.882 0.420
0.177 0.303 0.420
0.355 0.180 0.097
0.334 0.170 0.582
0.485 0.027 0.251
0.482 0.450 0.253
0.609 0.313 0.421
0.820 0.138 0.089
0.819 0.677 0.088
0.995 0.503 0.218
0.354 0.677 0.088
```

Results
As for the symmetry: P1 (1). As for the magnetic moment: 1.0 μB/f.u. The calculation puts the MP2020-corrected energy at -8.64 eV/atom. The density comes out at 3.71 g/cm3. For the calculated formation energy, the calculation gives -2.32 eV/atom.

A plane-wave DFT calculation with GGA+U was carried out for a geometry-optimized V2O5 structure.

POSCAR file:
```
V2O5
1.0
1.805 -5.417 0.000
1.805 5.417 0.000
0.000 0.000 11.535
V O
4 10
Direct
0.705 0.295 0.603
0.295 0.705 0.397
0.295 0.705 0.103
0.705 0.295 0.897
0.763 0.237 0.750
0.557 0.443 0.615
0.249 0.751 0.568
0.751 0.249 0.432
0.443 0.557 0.385
0.237 0.763 0.250
0.443 0.557 0.115
0.557 0.443 0.885
0.751 0.249 0.068
0.249 0.751 0.932
```

Results
As for the symmetry: Cmcm (63). The calculation puts the MP2020-corrected energy at -8.41 eV/atom. The density comes out at 2.68 g/cm3. For the calculated formation energy, the calculation gives -2.28 eV/atom.

A plane-wave DFT calculation with GGA+U was carried out for a geometry-optimized VO2 structure.

POSCAR file:
```
VO2
1.0
4.876 0.000 0.000
0.914 6.432 0.000
1.099 0.863 8.649
V O
4 8
Direct
0.971 0.172 0.983
0.029 0.828 0.017
0.357 0.010 0.200
0.643 0.990 0.800
0.280 0.754 0.157
0.720 0.246 0.843
0.292 0.015 0.384
0.708 0.985 0.616
0.741 0.005 0.133
0.259 0.995 0.867
0.194 0.261 0.109
0.806 0.739 0.891
```

Results
As for the symmetry: P-1 (2). As for the magnetic moment: 0.0 μB/f.u. The calculation puts the MP2020-corrected energy at -8.32 eV/atom. The density comes out at 2.03 g/cm3. For the calculated formation energy, the calculation gives -1.99 eV/atom.

A plane-wave DFT calculation with GGA+U was carried out for a geometry-optimized VO2 structure.

POSCAR file:
```
VO2
1.0
-6.864 5.179 0.383
-2.460 -3.801 7.320
4.127 5.168 4.070
V O
16 32
Direct
0.982 0.202 0.875
0.202 0.982 0.625
0.798 0.982 0.125
0.518 0.298 0.125
0.798 0.018 0.625
0.018 0.202 0.375
0.482 0.298 0.625
0.202 0.018 0.125
0.702 0.518 0.875
0.702 0.482 0.375
0.018 0.798 0.875
0.518 0.702 0.625
0.298 0.518 0.375
0.482 0.702 0.125
0.298 0.482 0.875
0.982 0.798 0.375
0.995 0.850 0.125
0.350 0.505 0.125
0.505 0.650 0.875
0.839 0.660 0.875
0.350 0.495 0.625
0.160 0.339 0.375
0.161 0.340 0.875
0.495 0.650 0.375
0.339 0.840 0.625
0.161 0.660 0.375
0.339 0.160 0.125
0.005 0.150 0.125
0.505 0.350 0.375
0.850 0.005 0.875
0.661 0.160 0.625
0.660 0.161 0.125
0.839 0.340 0.375
0.650 0.505 0.625
0.150 0.005 0.375
0.150 0.995 0.875
0.660 0.839 0.625
0.005 0.850 0.625
0.995 0.150 0.625
0.650 0.495 0.125
0.160 0.661 0.875
0.661 0.840 0.125
0.850 0.995 0.375
0.340 0.839 0.125
0.340 0.161 0.625
0.840 0.339 0.875
0.840 0.661 0.375
0.495 0.350 0.875
```

Results
As for the symmetry: P4/ncc (130). As for the magnetic moment: 1.0 μB/f.u. The calculation puts the MP2020-corrected energy at -8.77 eV/atom. The density comes out at 3.83 g/cm3. For the calculated formation energy, the calculation gives -2.44 eV/atom.

A plane-wave DFT calculation with GGA+U was carried out for a geometry-optimized V6O13 structure.

POSCAR file:
```
V6O13
1.0
-2.188 -0.151 3.061
8.545 -5.482 5.837
-0.323 11.701 0.347
V O
12 26
Direct
0.750 0.715 0.581
0.250 0.581 0.715
0.250 0.399 0.899
0.750 0.601 0.101
0.750 0.899 0.399
0.250 0.215 0.081
0.250 0.101 0.601
0.750 0.785 0.919
0.250 0.285 0.419
0.750 0.081 0.215
0.250 0.919 0.785
0.750 0.419 0.285
0.250 0.501 0.803
0.250 0.303 0.001
0.750 0.001 0.303
0.750 0.070 0.570
0.750 0.275 0.370
0.750 0.430 0.930
0.750 0.803 0.501
0.250 0.775 0.870
0.250 0.130 0.225
0.750 0.630 0.725
0.750 0.225 0.130
0.250 0.448 0.552
0.750 0.870 0.775
0.250 0.250 0.750
0.250 0.725 0.630
0.750 0.499 0.197
0.250 0.570 0.070
0.250 0.930 0.430
0.250 0.370 0.275
0.250 0.052 0.948
0.750 0.750 0.250
0.750 0.552 0.448
0.750 0.697 0.999
0.750 0.948 0.052
0.250 0.999 0.697
0.250 0.197 0.499
```

Results
As for the magnetic moment: 4.0 μB/f.u. The calculation puts the MP2020-corrected energy at -8.62 eV/atom. The density comes out at 3.75 g/cm3. For the calculated formation energy, the calculation gives -2.37 eV/atom.

A plane-wave DFT calculation with GGA+U was carried out for a geometry-optimized V2O5 structure.

POSCAR file:
```
V2O5
1.0
11.418 0.084 -0.067
0.054 12.403 -0.136
-0.096 -0.127 12.261
V O
30 75
Direct
0.077 0.469 0.915
0.807 0.796 0.196
0.354 0.056 0.640
0.540 0.379 0.695
0.599 0.389 0.437
0.579 0.089 0.699
0.494 0.974 0.024
0.758 0.218 0.601
0.007 0.116 0.934
0.483 0.712 0.964
0.355 0.220 0.412
0.501 0.715 0.582
0.717 0.755 0.735
0.898 0.855 0.940
0.087 0.333 0.453
0.116 0.958 0.282
0.042 0.870 0.503
0.709 0.069 0.216
0.870 0.469 0.131
0.406 0.532 0.267
0.135 0.899 0.777
0.518 0.233 0.050
0.742 0.801 0.466
0.981 0.211 0.209
0.963 0.292 0.708
0.390 0.824 0.207
0.275 0.730 0.405
0.084 0.595 0.484
0.248 0.359 0.117
0.650 0.474 0.942
0.768 0.468 0.874
0.274 0.464 0.216
0.962 0.185 0.049
0.369 0.780 0.504
0.117 0.972 0.440
0.172 0.170 0.956
0.964 0.471 0.012
0.620 0.698 0.494
0.621 0.245 0.701
0.248 0.598 0.444
0.499 0.270 0.412
0.368 0.678 0.292
0.899 0.876 0.470
0.691 0.087 0.596
0.241 0.980 0.678
0.603 0.617 0.958
0.781 0.803 0.618
0.064 0.853 0.642
0.161 0.083 0.015
0.745 0.628 0.735
0.498 0.520 0.169
0.582 0.328 0.974
0.635 0.031 0.804
0.259 0.851 0.299
0.063 0.602 0.613
0.771 0.819 0.862
0.037 0.462 0.421
0.615 0.189 0.144
0.016 0.823 0.862
0.901 0.794 0.067
0.960 0.200 0.824
0.637 0.074 0.327
0.892 0.582 0.200
0.685 0.757 0.141
0.086 0.020 0.832
0.834 0.148 0.234
0.619 0.985 0.096
0.724 0.465 0.080
0.035 0.395 0.793
0.072 0.090 0.229
0.386 0.664 0.882
0.412 0.728 0.094
0.486 0.987 0.617
0.694 0.442 0.358
0.421 0.137 0.739
0.506 0.860 0.936
0.322 0.136 0.525
0.826 0.344 0.688
0.382 0.944 0.117
0.508 0.848 0.275
0.727 0.274 0.480
0.796 0.745 0.338
0.383 0.284 0.107
0.206 0.412 0.990
0.240 0.323 0.422
0.141 0.286 0.168
0.020 0.865 0.250
0.916 0.350 0.199
0.405 0.352 0.667
0.449 0.599 0.608
0.661 0.904 0.445
0.908 0.996 0.955
0.066 0.312 0.595
0.013 0.245 0.373
0.904 0.175 0.614
0.110 0.748 0.438
0.467 0.472 0.381
0.788 0.935 0.219
0.109 0.591 0.885
0.545 0.452 0.818
0.334 0.146 0.303
0.558 0.771 0.707
0.606 0.440 0.574
0.245 0.846 0.841
0.477 0.110 0.975
```

Results
As for the symmetry: P1 (1). As for the magnetic moment: 0.1 μB/f.u. The calculation puts the MP2020-corrected energy at -7.93 eV/atom. The density comes out at 2.61 g/cm3. For the calculated formation energy, the calculation gives -1.80 eV/atom.

A plane-wave DFT calculation with GGA+U was carried out for a geometry-optimized VO2 structure.

POSCAR file:
```
VO2
1.0
-4.693 1.985 1.395
0.007 -5.139 -1.891
1.056 -2.690 7.740
V O
6 12
Direct
0.999 0.000 0.997
0.500 0.501 0.497
0.986 0.501 0.678
0.482 0.007 0.179
0.015 0.498 0.316
0.517 0.994 0.816
0.418 0.185 0.989
0.917 0.684 0.490
0.581 0.816 0.005
0.084 0.315 0.503
0.071 0.802 0.163
0.586 0.299 0.669
0.075 0.776 0.826
0.550 0.275 0.333
0.929 0.198 0.831
0.414 0.701 0.324
0.926 0.224 0.167
0.451 0.725 0.661
```

Results
As for the symmetry: P1 (1). As for the magnetic moment: 1.0 μB/f.u. The calculation puts the MP2020-corrected energy at -8.75 eV/atom. The density comes out at 3.86 g/cm3. For the calculated formation energy, the calculation gives -2.42 eV/atom.

Question: What is the formula in the third record?
Answer: V2O5

Question: Number 1 is which compound?
Answer: V6O13

Question: Look up the MP2020-corrected energy of the first one.
Answer: -8.65 eV/atom

Copy entry 6 word for word.
A plane-wave DFT calculation with GGA+U was carried out for a geometry-optimized V6O13 structure.

POSCAR file:
```
V6O13
1.0
-2.188 -0.151 3.061
8.545 -5.482 5.837
-0.323 11.701 0.347
V O
12 26
Direct
0.750 0.715 0.581
0.250 0.581 0.715
0.250 0.399 0.899
0.750 0.601 0.101
0.750 0.899 0.399
0.250 0.215 0.081
0.250 0.101 0.601
0.750 0.785 0.919
0.250 0.285 0.419
0.750 0.081 0.215
0.250 0.919 0.785
0.750 0.419 0.285
0.250 0.501 0.803
0.250 0.303 0.001
0.750 0.001 0.303
0.750 0.070 0.570
0.750 0.275 0.370
0.750 0.430 0.930
0.750 0.803 0.501
0.250 0.775 0.870
0.250 0.130 0.225
0.750 0.630 0.725
0.750 0.225 0.130
0.250 0.448 0.552
0.750 0.870 0.775
0.250 0.250 0.750
0.250 0.725 0.630
0.750 0.499 0.197
0.250 0.570 0.070
0.250 0.930 0.430
0.250 0.370 0.275
0.250 0.052 0.948
0.750 0.750 0.250
0.750 0.552 0.448
0.750 0.697 0.999
0.750 0.948 0.052
0.250 0.999 0.697
0.250 0.197 0.499
```

Results
As for the magnetic moment: 4.0 μB/f.u. The calculation puts the MP2020-corrected energy at -8.62 eV/atom. The density comes out at 3.75 g/cm3. For the calculated formation energy, the calculation gives -2.37 eV/atom.